No. 1
DFT (PBE) results for crystalline CaH8C2N4O5 at its relaxed geometry.

Cell lengths 6.437, 7.819, 7.990 Å; angles 79.55, 83.67, 73.86 degrees
Space group P-1 (No. 2)
One atom of each set of equivalent atoms:
Ca  0.195  0.118  0.052 x2
H  0.154  0.368  0.325 x2
H  0.158  0.490  0.130 x2
H  0.195  0.781  0.556 x2
H  0.198  0.339  0.719 x2
H  0.219  0.491  0.829 x2
H  0.291  0.049  0.433 x2
H  0.477  0.486  0.244 x2
H  0.481  0.885  0.352 x2
C  0.028  0.819  0.340 x2
C  0.381  0.745  0.859 x2
N  0.198  0.826  0.428 x2
N  0.232  0.372  0.205 x2
N  0.319  0.949  0.359 x2
N  0.449  0.370  0.221 x2
O  0.018  0.889  0.183 x2
O  0.107  0.263  0.575 x2
O  0.194  0.715  0.859 x2
O  0.252  0.359  0.826 x2
O  0.421  0.872  0.919 x2

## Properties
Formation energy from the elements in eV per atom: -1.04



No. 2
DFT (PBE) results for crystalline CaRe2H6CN2O10 at its relaxed geometry.

Cell lengths 7.444, 9.251, 9.312 Å; angles 111.56, 91.30, 104.93 degrees
Space group P-1 (No. 2)
One atom of each set of equivalent atoms:
Ca  0.081  0.216  0.484 x2
Re  0.217  0.673  0.829 x2
Re  0.337  0.615  0.361 x2
H  0.126  0.274  0.907 x2
H  0.157  0.016  0.160 x2
H  0.343  0.280  0.986 x2
H  0.351  0.147  0.230 x2
H  0.425  0.991  0.637 x2
H  0.482  0.881  0.170 x2
C  0.254  0.121  0.756 x2
N  0.238  0.229  0.895 x2
N  0.412  0.074  0.741 x2
O  0.121  0.762  0.721 x2
O  0.124  0.065  0.641 x2
O  0.125  0.461  0.744 x2
O  0.164  0.750  0.020 x2
O  0.228  0.468  0.432 x2
O  0.233  0.093  0.259 x2
O  0.233  0.775  0.425 x2
O  0.313  0.530  0.158 x2
O  0.423  0.307  0.565 x2
O  0.463  0.731  0.836 x2

## Properties
Formation energy from the elements in eV per atom: -1.65



Q: Which of these has the highest formation energy from the elements?
A: CaH8C2N4O5



Q: Among the records above, which one has the lowest formation energy from the elements?
A: CaRe2H6CN2O10



Q: What is the formula in the first record?
A: CaH8C2N4O5